Below is a relaxed SO4 crystal, with properties calculated at the PBE level.

```
SO4
1.0
2.4332 4.3777 0.0000
-2.4332 4.3777 0.0000
0.0000 3.3387 8.4298
S O
2 8
Direct
0.0918 0.9082 0.2500
0.9082 0.0918 0.7500
0.2582 0.7389 0.3868
0.2611 0.7418 0.1132
0.7418 0.2611 0.6132
0.7389 0.2582 0.8868
0.7735 0.9256 0.3211
0.0744 0.2265 0.1789
0.2265 0.0744 0.6789
0.9256 0.7735 0.8211
```

## Properties
Calculated formation energy = -1004 meV/atom
Polymorph energy (0 for the lowest one) = 0.119 eV/atom
Energy = -5.24 eV per atom